No. 1
# PBE As3Pb5ClO9, relaxed
data_As3Pb5ClO9
_chemical_formula_sum 'As6 Pb10 Cl2 O18'
_cell_length_a 10.7928
_cell_length_b 10.7928
_cell_length_c 7.3686
_cell_angle_alpha 90.00
_cell_angle_beta 90.00
_cell_angle_gamma 120.00
_space_group_name_H-M_alt 'P 63'
_space_group_IT_number 173
loop_
_space_group_symop_operation_xyz
'x,y,z'
'x-y,x,z+1/2'
'-y,x-y,z'
'-x,-y,z+1/2'
'-x+y,-x,z'
'y,-x+y,z+1/2'
loop_
_atom_site_label
_atom_site_fract_x
_atom_site_fract_y
_atom_site_fract_z
As1 0.0463 0.6961 0.0000
Pb1 0.0000 0.0000 0.2554
Pb2 0.0623 0.6877 0.4859
Pb3 0.3333 0.6667 0.8756
Cl1 0.3333 0.6667 0.4798
O1 0.0349 0.1925 0.4577
O2 0.0686 0.6304 0.7853
O3 0.1792 0.4116 0.0331
# energy above the lowest structure with this stoichiometry: 86.9 meV/atom
# size of the total moment: 0.00 μB/f.u.

=====

No. 2
# PBE Ta3N5, relaxed
data_Ta3N5
_chemical_formula_sum 'Ta12 N20'
_cell_length_a 9.4235
_cell_length_b 6.0669
_cell_length_c 5.6606
_cell_angle_alpha 90.00
_cell_angle_beta 90.00
_cell_angle_gamma 90.00
_space_group_name_H-M_alt 'P n m a'
_space_group_IT_number 62
loop_
_space_group_symop_operation_xyz
'x,y,z'
'-x,-y,-z'
'-x+1/2,-y,z+1/2'
'x+1/2,y,-z+1/2'
'x+1/2,-y+1/2,-z+1/2'
'-x+1/2,y+1/2,z+1/2'
'-x,y+1/2,-z'
'x,-y+1/2,z'
loop_
_atom_site_label
_atom_site_fract_x
_atom_site_fract_y
_atom_site_fract_z
Ta1 0.9999 0.2500 0.0750
Ta2 0.1790 0.0015 0.4971
N1 0.0009 0.2500 0.4545
N2 0.1112 0.0273 0.8510
N3 0.1820 0.7500 0.1992
N4 0.2080 0.2500 0.2094
# energy above the lowest structure with this stoichiometry: 189.5 meV/atom
# size of the total moment: 0.00 μB/f.u.

=====

No. 3
Compound: Zr2BN
Source: the Materials Project database
Functional: PBE
Structure: relaxed

```
data_Zr2BN
_chemical_formula_sum 'Zr6 B3 N3'
_cell_length_a 3.3513
_cell_length_b 3.3513
_cell_length_c 16.6129
_cell_angle_alpha 90.00
_cell_angle_beta 90.00
_cell_angle_gamma 120.00
_space_group_name_H-M_alt 'R -3 m'
_space_group_IT_number 166
_space_group_name_Hall '-R 3 2"'
loop_
_atom_site_label
_atom_site_fract_x
_atom_site_fract_y
_atom_site_fract_z
Zr1 0.0000 0.0000 0.2476
B1 0.0000 0.0000 0.0000
N1 0.0000 0.0000 0.5000
```

=====

No. 4
# PBE SiO2, relaxed
data_SiO2
_chemical_formula_sum 'Si8 O16'
_cell_length_a 5.6758
_cell_length_b 5.6758
_cell_length_c 11.3204
_cell_angle_alpha 90.00
_cell_angle_beta 90.00
_cell_angle_gamma 90.00
_space_group_name_H-M_alt 'I 41 2 2'
_space_group_IT_number 98
_space_group_name_Hall 'I 4bw 2bw'
loop_
_atom_site_label
_atom_site_fract_x
_atom_site_fract_y
_atom_site_fract_z
Si1 0.1386 0.7500 0.1250
O1 0.0000 0.0000 0.1163
O2 0.2179 0.7179 0.7500
# size of the total moment: 0.00 μB/f.u.

=====

No. 5
# PBE TmFe4Ge2, relaxed
data_TmFe4Ge2
_chemical_formula_sum 'Tm2 Fe8 Ge4'
_cell_length_a 7.0712
_cell_length_b 7.3188
_cell_length_c 3.8910
_cell_angle_alpha 90.00
_cell_angle_beta 90.00
_cell_angle_gamma 90.00
_space_group_name_H-M_alt 'P n n m'
_space_group_IT_number 58
loop_
_space_group_symop_operation_xyz
'x,y,z'
'-x,-y,-z'
'-x,-y,z'
'x,y,-z'
'x+1/2,-y+1/2,-z+1/2'
'-x+1/2,y+1/2,z+1/2'
'-x+1/2,y+1/2,-z+1/2'
'x+1/2,-y+1/2,z+1/2'
loop_
_atom_site_label
_atom_site_fract_x
_atom_site_fract_y
_atom_site_fract_z
Tm1 0.0000 0.0000 0.0000
Fe1 0.0870 0.3537 0.5000
Fe2 0.1440 0.5979 0.0000
Ge1 0.2212 0.7909 0.5000
# size of the total moment: 6.85 μB/f.u.

=====

No. 6
# PBE Sr2Sc2B4O11, relaxed
data_Sr2Sc2B4O11
_chemical_formula_sum 'Sr2 Sc2 B4 O11'
_cell_length_a 5.1290
_cell_length_b 6.3513
_cell_length_c 7.3726
_cell_angle_alpha 78.26
_cell_angle_beta 89.18
_cell_angle_gamma 75.62
_space_group_name_H-M_alt 'P -1'
_space_group_IT_number 2
loop_
_space_group_symop_operation_xyz
'x,y,z'
'-x,-y,-z'
loop_
_atom_site_label
_atom_site_fract_x
_atom_site_fract_y
_atom_site_fract_z
Sr1 0.2228 0.1945 0.1633
Sc1 0.1859 0.2819 0.6465
B1 0.2791 0.7804 0.6065
B2 0.3538 0.6559 0.1019
O1 0.0907 0.6582 0.1329
O2 0.1126 0.6443 0.5765
O3 0.1740 0.9482 0.7027
O4 0.4591 0.2553 0.4432
O5 0.4924 0.7943 0.1529
O6 0.5000 0.5000 0.0000
# size of the total moment: 0.00 μB/f.u.

=====

no.,DFT formation energy (meV per atom)
1,-1510
2,-1082
3,-1199
4,-3118
5,-299
6,-3340